No. 1
# YVO4 | the Materials Project database | GGA+U | relaxed
# Calculated density   4.6 g/cm³
# Energy of formation   -3.155 eV/atom
data_YVO4
_symmetry_space_group_name_H-M 'P 1'
_symmetry_Int_Tables_number 1
_cell_length_a 6.728
_cell_length_b 6.728
_cell_length_c 6.728
_cell_angle_alpha 135.50
_cell_angle_beta 135.50
_cell_angle_gamma 64.75
loop_
_symmetry_equiv_pos_as_xyz
'x,y,z'
loop_
_atom_site_label
_atom_site_fract_x
_atom_site_fract_y
_atom_site_fract_z
_atom_site_occupancy
Y1 0.375 0.125 0.250 1
Y2 0.625 0.875 0.750 1
V1 0.125 0.375 0.750 1
V2 0.875 0.625 0.250 1
O1 0.059 0.200 0.348 1
O2 0.211 0.559 0.360 1
O3 0.300 0.148 0.860 1
O4 0.352 0.711 0.152 1
O5 0.648 0.289 0.848 1
O6 0.700 0.852 0.140 1
O7 0.789 0.441 0.640 1
O8 0.941 0.800 0.652 1

=====

No. 2
# VFe2Ni3P6O24 | the Materials Project database | GGA+U | relaxed
# Calculated density   3.5 g/cm³
# Energy of formation   -2.197 eV/atom
data_VFe2Ni3P6O24
_symmetry_space_group_name_H-M 'P 1'
_symmetry_Int_Tables_number 1
_cell_length_a 8.385
_cell_length_b 8.385
_cell_length_c 8.385
_cell_angle_alpha 62.08
_cell_angle_beta 62.08
_cell_angle_gamma 62.08
loop_
_symmetry_equiv_pos_as_xyz
'x,y,z'
loop_
_atom_site_label
_atom_site_fract_x
_atom_site_fract_y
_atom_site_fract_z
_atom_site_occupancy
V1 0.000 0.000 0.000 1
Fe1 0.150 0.150 0.150 1
Fe2 0.648 0.648 0.648 1
Ni1 0.290 0.290 0.290 1
Ni2 0.503 0.503 0.503 1
Ni3 0.787 0.787 0.787 1
P1 0.099 0.692 0.394 1
P2 0.192 0.598 0.891 1
P3 0.394 0.099 0.692 1
P4 0.598 0.891 0.192 1
P5 0.692 0.394 0.099 1
P6 0.891 0.192 0.598 1
O1 0.040 0.643 0.816 1
O2 0.049 0.206 0.400 1
O3 0.077 0.900 0.233 1
O4 0.129 0.766 0.972 1
O5 0.137 0.543 0.318 1
O6 0.206 0.400 0.049 1
O7 0.233 0.077 0.900 1
O8 0.253 0.664 0.459 1
O9 0.318 0.137 0.543 1
O10 0.392 0.598 0.746 1
O11 0.400 0.049 0.206 1
O12 0.459 0.253 0.664 1
O13 0.543 0.318 0.137 1
O14 0.545 0.895 0.712 1
O15 0.598 0.746 0.392 1
O16 0.643 0.816 0.040 1
O17 0.664 0.459 0.253 1
O18 0.712 0.545 0.895 1
O19 0.746 0.392 0.598 1
O20 0.766 0.972 0.129 1
O21 0.816 0.040 0.643 1
O22 0.895 0.712 0.545 1
O23 0.900 0.233 0.077 1
O24 0.972 0.129 0.766 1

=====

No. 3
# Na2MgV2Cd2O8 | the Materials Project database | GGA+U | relaxed
# Energy relative to the lowest polymorph listed for this composition   1.01 eV per formula unit
# Calculated density   4.3 g/cm³
# Energy of formation   -2.022 eV/atom
data_Na2MgV2Cd2O8
_symmetry_space_group_name_H-M 'P 1'
_symmetry_Int_Tables_number 1
_cell_length_a 5.662
_cell_length_b 6.586
_cell_length_c 5.937
_cell_angle_alpha 90.00
_cell_angle_beta 112.57
_cell_angle_gamma 90.00
loop_
_symmetry_equiv_pos_as_xyz
'x,y,z'
loop_
_atom_site_label
_atom_site_fract_x
_atom_site_fract_y
_atom_site_fract_z
_atom_site_occupancy
Na1 0.000 0.000 0.000 1
Na2 0.451 0.500 0.125 1
Mg1 0.826 0.500 0.606 1
V1 0.690 0.000 0.323 1
V2 0.960 0.500 0.066 1
Cd1 0.315 0.248 0.665 1
Cd2 0.315 0.752 0.665 1
O1 0.030 0.000 0.427 1
O2 0.044 0.500 0.408 1
O3 0.074 0.302 0.892 1
O4 0.074 0.698 0.892 1
O5 0.572 0.000 0.004 1
O6 0.591 0.225 0.422 1
O7 0.591 0.775 0.422 1
O8 0.606 0.500 0.827 1

=====

No. 4
# NiH2O2 | the Materials Project database | GGA+U | relaxed
# Energy relative to the lowest polymorph listed for this composition   0.01 eV per formula unit
# Calculated density   3.8 g/cm³
# Energy of formation   -1.244 eV/atom
data_NiH2O2
_symmetry_space_group_name_H-M 'P 1'
_symmetry_Int_Tables_number 1
_cell_length_a 5.460
_cell_length_b 3.153
_cell_length_c 4.663
_cell_angle_alpha 90.00
_cell_angle_beta 90.58
_cell_angle_gamma 90.00
loop_
_symmetry_equiv_pos_as_xyz
'x,y,z'
loop_
_atom_site_label
_atom_site_fract_x
_atom_site_fract_y
_atom_site_fract_z
_atom_site_occupancy
Ni1 0.000 0.000 0.000 1
Ni2 0.500 0.500 0.000 1
H1 0.168 0.518 0.429 1
H2 0.332 0.018 0.571 1
H3 0.668 0.018 0.429 1
H4 0.832 0.518 0.571 1
O1 0.168 0.502 0.220 1
O2 0.332 0.002 0.780 1
O3 0.668 0.002 0.220 1
O4 0.832 0.502 0.780 1

=====

No. 5
# CaFe2P3O12 | the Materials Project database | GGA+U | relaxed
# Calculated density   3.4 g/cm³
# Energy of formation   -2.506 eV/atom
data_CaFe2P3O12
_symmetry_space_group_name_H-M 'P 1'
_symmetry_Int_Tables_number 1
_cell_length_a 6.476
_cell_length_b 20.177
_cell_length_c 9.060
_cell_angle_alpha 90.00
_cell_angle_beta 133.87
_cell_angle_gamma 90.00
loop_
_symmetry_equiv_pos_as_xyz
'x,y,z'
loop_
_atom_site_label
_atom_site_fract_x
_atom_site_fract_y
_atom_site_fract_z
_atom_site_occupancy
Ca1 0.209 0.076 0.069 1
Ca2 0.209 0.424 0.569 1
Ca3 0.791 0.576 0.431 1
Ca4 0.791 0.924 0.931 1
Fe1 0.321 0.096 0.723 1
Fe2 0.321 0.404 0.223 1
Fe3 0.349 0.711 0.408 1
Fe4 0.349 0.789 0.908 1
Fe5 0.651 0.211 0.092 1
Fe6 0.651 0.289 0.592 1
Fe7 0.679 0.596 0.777 1
Fe8 0.679 0.904 0.277 1
P1 0.144 0.247 0.089 1
P2 0.144 0.253 0.589 1
P3 0.165 0.552 0.282 1
P4 0.165 0.948 0.782 1
P5 0.311 0.620 0.894 1
P6 0.311 0.880 0.394 1
P7 0.689 0.120 0.606 1
P8 0.689 0.380 0.106 1
P9 0.835 0.052 0.218 1
P10 0.835 0.448 0.718 1
P11 0.856 0.747 0.411 1
P12 0.856 0.753 0.911 1
O1 0.006 0.702 0.371 1
O2 0.006 0.798 0.871 1
O3 0.012 0.109 0.727 1
O4 0.012 0.391 0.227 1
O5 0.045 0.523 0.366 1
O6 0.045 0.977 0.866 1
O7 0.064 0.083 0.430 1
O8 0.064 0.417 0.930 1
O9 0.082 0.714 0.110 1
O10 0.082 0.786 0.610 1
O11 0.322 0.200 0.077 1
O12 0.322 0.300 0.577 1
O13 0.334 0.600 0.739 1
O14 0.334 0.900 0.239 1
O15 0.346 0.501 0.282 1
O16 0.346 0.999 0.782 1
O17 0.349 0.200 0.764 1
O18 0.349 0.300 0.264 1
O19 0.392 0.693 0.953 1
O20 0.392 0.807 0.453 1
O21 0.393 0.608 0.438 1
O22 0.393 0.892 0.938 1
O23 0.486 0.576 0.082 1
O24 0.486 0.924 0.582 1
O25 0.514 0.076 0.418 1
O26 0.514 0.424 0.918 1
O27 0.607 0.108 0.062 1
O28 0.607 0.392 0.562 1
O29 0.608 0.193 0.547 1
O30 0.608 0.307 0.047 1
O31 0.651 0.700 0.736 1
O32 0.651 0.800 0.236 1
O33 0.654 0.001 0.218 1
O34 0.654 0.499 0.718 1
O35 0.666 0.100 0.761 1
O36 0.666 0.400 0.261 1
O37 0.678 0.700 0.423 1
O38 0.678 0.800 0.923 1
O39 0.918 0.214 0.390 1
O40 0.918 0.286 0.890 1
O41 0.936 0.583 0.070 1
O42 0.936 0.917 0.570 1
O43 0.955 0.023 0.134 1
O44 0.955 0.477 0.634 1
O45 0.988 0.609 0.773 1
O46 0.988 0.891 0.273 1
O47 0.994 0.202 0.129 1
O48 0.994 0.298 0.629 1

=====

No. 6
# K3LiMn4Mo6O24 | the Materials Project database | GGA+U | relaxed
# Calculated density   3.4 g/cm³
# Energy of formation   -2.145 eV/atom
data_K3LiMn4Mo6O24
_symmetry_space_group_name_H-M 'P 1'
_symmetry_Int_Tables_number 1
_cell_length_a 10.881
_cell_length_b 10.881
_cell_length_c 10.881
_cell_angle_alpha 85.72
_cell_angle_beta 85.72
_cell_angle_gamma 85.72
loop_
_symmetry_equiv_pos_as_xyz
'x,y,z'
loop_
_atom_site_label
_atom_site_fract_x
_atom_site_fract_y
_atom_site_fract_z
_atom_site_occupancy
K1 0.087 0.823 0.589 1
K2 0.089 0.323 0.587 1
K3 0.323 0.587 0.089 1
K4 0.587 0.089 0.323 1
K5 0.589 0.087 0.823 1
K6 0.823 0.589 0.087 1
Li1 0.138 0.138 0.138 1
Li2 0.638 0.638 0.638 1
Mn1 0.139 0.351 0.924 1
Mn2 0.351 0.924 0.139 1
Mn3 0.392 0.392 0.392 1
Mn4 0.424 0.851 0.639 1
Mn5 0.639 0.424 0.851 1
Mn6 0.851 0.639 0.424 1
Mn7 0.892 0.892 0.892 1
Mn8 0.924 0.139 0.351 1
Mo1 0.038 0.849 0.201 1
Mo2 0.076 0.427 0.240 1
Mo3 0.201 0.038 0.849 1
Mo4 0.240 0.076 0.427 1
Mo5 0.349 0.538 0.701 1
Mo6 0.427 0.240 0.076 1
Mo7 0.538 0.701 0.349 1
Mo8 0.576 0.740 0.927 1
Mo9 0.701 0.349 0.538 1
Mo10 0.740 0.927 0.576 1
Mo11 0.849 0.201 0.038 1
Mo12 0.927 0.576 0.740 1
O1 0.007 0.439 0.804 1
O2 0.012 0.219 0.013 1
O3 0.013 0.012 0.219 1
O4 0.059 0.263 0.268 1
O5 0.066 0.966 0.811 1
O6 0.077 0.085 0.475 1
O7 0.085 0.475 0.077 1
O8 0.190 0.201 0.802 1
O9 0.201 0.802 0.190 1
O10 0.213 0.462 0.308 1
O11 0.219 0.013 0.012 1
O12 0.263 0.268 0.059 1
O13 0.268 0.059 0.263 1
O14 0.270 0.473 0.839 1
O15 0.302 0.701 0.690 1
O16 0.304 0.939 0.507 1
O17 0.308 0.213 0.462 1
O18 0.311 0.466 0.566 1
O19 0.339 0.973 0.770 1
O20 0.439 0.804 0.007 1
O21 0.462 0.308 0.213 1
O22 0.466 0.566 0.311 1
O23 0.473 0.839 0.270 1
O24 0.475 0.077 0.085 1
O25 0.507 0.304 0.939 1
O26 0.512 0.513 0.719 1
O27 0.513 0.719 0.512 1
O28 0.559 0.768 0.763 1
O29 0.566 0.311 0.466 1
O30 0.577 0.975 0.585 1
O31 0.585 0.577 0.975 1
O32 0.690 0.302 0.701 1
O33 0.701 0.690 0.302 1
O34 0.713 0.808 0.962 1
O35 0.719 0.512 0.513 1
O36 0.763 0.559 0.768 1
O37 0.768 0.763 0.559 1
O38 0.770 0.339 0.973 1
O39 0.802 0.190 0.201 1
O40 0.804 0.007 0.439 1
O41 0.808 0.962 0.713 1
O42 0.811 0.066 0.966 1
O43 0.839 0.270 0.473 1
O44 0.939 0.507 0.304 1
O45 0.962 0.713 0.808 1
O46 0.966 0.811 0.066 1
O47 0.973 0.770 0.339 1
O48 0.975 0.585 0.577 1